No. 1
56
Lattice="4.841 -0.011 6.294 -0.026 10.850 0.000 -4.841 0.011 6.294" Properties=species:S:1:pos:R:3 comment="Li4Mn3SnP4O16, relaxed, DFT GGA+U" dft_energy_ry_per_atom=-0.5136 m_tot_mub_per_fu=0.0 pbc="T T T"
Li -0.031 10.743 6.324
Li -0.031 10.743 0.031
Li -0.031 10.743 9.409
Li -0.031 10.743 3.116
Li -2.413 5.557 9.404
Li 2.428 5.545 9.404
Li -2.413 5.557 6.330
Li 2.428 5.546 6.330
Mn -2.557 2.328 4.720
Mn -2.262 8.524 7.867
Mn 2.579 8.513 7.867
Mn 0.121 7.853 4.720
Mn 0.121 7.854 11.014
Mn 2.284 2.318 4.720
Sn -0.103 3.078 7.867
Sn -0.103 3.078 1.573
P 0.451 6.555 1.573
P 0.451 6.555 7.867
P -2.797 0.817 7.867
P 2.044 0.806 7.867
P 2.842 9.834 4.720
P -1.999 9.845 4.720
P -0.569 4.503 11.014
P -0.570 4.503 4.720
O 1.085 5.126 1.573
O 1.085 5.126 7.867
O 0.949 4.294 4.720
O 0.949 4.294 11.014
O 1.303 9.780 4.720
O -3.538 9.792 4.720
O -3.521 10.272 7.868
O 1.321 10.261 7.866
O 3.456 0.428 4.720
O -1.386 0.439 4.720
O -1.266 0.702 7.867
O 3.575 0.691 7.867
O -1.090 6.554 7.867
O -1.090 6.554 1.573
O -1.029 5.992 11.014
O -1.029 5.992 4.720
O -3.775 7.285 6.614
O 1.066 7.274 6.614
O 1.066 7.274 2.826
O 1.066 7.274 9.120
O -3.349 1.586 6.607
O 1.493 1.575 6.606
O 1.493 1.575 2.834
O 1.492 1.575 9.128
O -1.366 9.099 9.776
O -1.366 9.099 3.483
O 3.475 9.088 5.958
O -1.366 9.099 5.958
O -1.289 3.817 9.792
O -1.289 3.817 3.499
O 3.552 3.806 5.942
O -1.289 3.817 5.942

---

No. 2
40
Lattice="8.655 0.000 0.000 3.960 7.760 0.000 3.951 2.466 7.367" Properties=species:S:1:pos:R:3 comment="Li4Mn5SnP6O24, relaxed, DFT GGA+U" dft_energy_ry_per_atom=-0.5227 m_tot_mub_per_fu=25.0 pbc="T T T"
Li 0.000 0.000 0.000
Li 6.574 8.538 3.615
Li 4.952 4.301 2.591
Li 10.540 7.009 5.826
Mn 8.132 7.379 7.277
Mn 6.846 6.519 1.005
Mn 9.269 8.069 2.117
Mn 8.546 2.327 3.591
Mn 10.895 3.868 4.688
Sn 4.914 5.414 5.862
P 2.658 2.347 1.489
P 5.410 2.076 5.111
P 8.038 5.710 4.309
P 6.977 2.947 0.633
P 13.814 8.849 6.603
P 12.464 6.757 2.928
O 1.646 2.305 0.294
O 4.472 3.367 5.410
O 4.688 6.140 1.775
O 3.732 3.422 1.274
O 3.180 0.891 1.597
O 6.570 5.284 4.701
O 9.421 9.131 6.521
O 8.608 9.061 4.034
O 8.655 6.588 5.418
O 7.858 6.482 2.981
O 6.814 2.442 4.698
O 6.335 4.382 0.473
O 5.982 1.828 0.827
O 8.947 4.472 4.158
O 8.830 6.841 0.275
O 8.049 3.011 1.696
O 11.012 6.999 2.586
O 11.551 5.181 6.507
O 9.933 2.045 5.380
O 13.326 7.416 6.145
O 13.191 8.010 3.413
O 12.459 5.566 4.034
O 15.248 8.772 7.162
O 10.660 2.662 2.867

---

What did the second record say?
40
Lattice="8.655 0.000 0.000 3.960 7.760 0.000 3.951 2.466 7.367" Properties=species:S:1:pos:R:3 comment="Li4Mn5SnP6O24, relaxed, DFT GGA+U" dft_energy_ry_per_atom=-0.5227 m_tot_mub_per_fu=25.0 pbc="T T T"
Li 0.000 0.000 0.000
Li 6.574 8.538 3.615
Li 4.952 4.301 2.591
Li 10.540 7.009 5.826
Mn 8.132 7.379 7.277
Mn 6.846 6.519 1.005
Mn 9.269 8.069 2.117
Mn 8.546 2.327 3.591
Mn 10.895 3.868 4.688
Sn 4.914 5.414 5.862
P 2.658 2.347 1.489
P 5.410 2.076 5.111
P 8.038 5.710 4.309
P 6.977 2.947 0.633
P 13.814 8.849 6.603
P 12.464 6.757 2.928
O 1.646 2.305 0.294
O 4.472 3.367 5.410
O 4.688 6.140 1.775
O 3.732 3.422 1.274
O 3.180 0.891 1.597
O 6.570 5.284 4.701
O 9.421 9.131 6.521
O 8.608 9.061 4.034
O 8.655 6.588 5.418
O 7.858 6.482 2.981
O 6.814 2.442 4.698
O 6.335 4.382 0.473
O 5.982 1.828 0.827
O 8.947 4.472 4.158
O 8.830 6.841 0.275
O 8.049 3.011 1.696
O 11.012 6.999 2.586
O 11.551 5.181 6.507
O 9.933 2.045 5.380
O 13.326 7.416 6.145
O 13.191 8.010 3.413
O 12.459 5.566 4.034
O 15.248 8.772 7.162
O 10.660 2.662 2.867